# Li3Pu GGA-PBE relaxed
data_Li3Pu
_space_group_name_H-M_alt 'P 1'
_space_group_IT_number 1
_cell_length_a 5.0758
_cell_length_b 5.0758
_cell_length_c 5.0758
_cell_angle_alpha 60.00
_cell_angle_beta 60.00
_cell_angle_gamma 60.00
loop_
_space_group_symop_operation_xyz
'x,y,z'
loop_
_atom_site_label
_atom_site_type_symbol
_atom_site_fract_x
_atom_site_fract_y
_atom_site_fract_z
Li1 Li 0.0000 0.0000 0.0000
Li2 Li 0.2500 0.2500 0.2500
Li3 Li 0.7500 0.7500 0.7500
Pu1 Pu 0.5000 0.5000 0.5000
# - Space-group type: Fm-3m
# - Relative energy among the computed polymorphs: 20.2 meV per atom

---

# Ba4PrRu3O12 GGA-PBE relaxed
data_Ba4PrRu3O12
_space_group_name_H-M_alt 'P 1'
_space_group_IT_number 1
_cell_length_a 5.9888
_cell_length_b 5.9888
_cell_length_c 30.1800
_cell_angle_alpha 91.58
_cell_angle_beta 91.58
_cell_angle_gamma 60.03
loop_
_space_group_symop_operation_xyz
'x,y,z'
loop_
_atom_site_label
_atom_site_type_symbol
_atom_site_fract_x
_atom_site_fract_y
_atom_site_fract_z
Ba1 Ba 0.9999 0.9999 0.1306
Ba2 Ba 0.0001 0.0001 0.8694
Ba3 Ba 0.0035 0.0035 0.7203
Ba4 Ba 0.3294 0.3294 0.9462
Ba5 Ba 0.3334 0.3334 0.5360
Ba6 Ba 0.3328 0.3328 0.7972
Ba7 Ba 0.3386 0.3386 0.3869
Ba8 Ba 0.6614 0.6614 0.6131
Ba9 Ba 0.6672 0.6672 0.2028
Ba10 Ba 0.6666 0.6666 0.4640
Ba11 Ba 0.6706 0.6706 0.0538
Ba12 Ba 0.9965 0.9965 0.2797
Pr1 Pr 0.0000 0.0000 0.0000
Pr2 Pr 0.3321 0.3321 0.6668
Pr3 Pr 0.6679 0.6679 0.3332
Ru1 Ru 0.0000 0.0000 0.5000
Ru2 Ru 0.0102 0.0102 0.4151
Ru3 Ru 0.3252 0.3252 0.2515
Ru4 Ru 0.3337 0.3337 0.1668
Ru5 Ru 0.3419 0.3419 0.0818
Ru6 Ru 0.6581 0.6581 0.9182
Ru7 Ru 0.6663 0.6663 0.8332
Ru8 Ru 0.6748 0.6748 0.7485
Ru9 Ru 0.9898 0.9898 0.5849
O1 O 0.0052 0.4747 0.2838
O2 O 0.0278 0.4908 0.1237
O3 O 0.1354 0.1354 0.6265
O4 O 0.1382 0.6690 0.6167
O5 O 0.1581 0.6947 0.4567
O6 O 0.1587 0.1587 0.4628
O7 O 0.1755 0.1755 0.2044
O8 O 0.1768 0.6397 0.2099
O9 O 0.1921 0.6612 0.0496
O10 O 0.1945 0.1945 0.0410
O11 O 0.3053 0.8419 0.5433
O12 O 0.3310 0.8618 0.3833
O13 O 0.3388 0.8078 0.9504
O14 O 0.3603 0.8232 0.7901
O15 O 0.4724 0.4724 0.2929
O16 O 0.4747 0.0052 0.2838
O17 O 0.4908 0.0278 0.1237
O18 O 0.4919 0.4919 0.1291
O19 O 0.5081 0.5081 0.8709
O20 O 0.5092 0.9722 0.8763
O21 O 0.5253 0.9948 0.7162
O22 O 0.5276 0.5276 0.7071
O23 O 0.6397 0.1768 0.2099
O24 O 0.6612 0.1921 0.0496
O25 O 0.6690 0.1382 0.6167
O26 O 0.6947 0.1581 0.4567
O27 O 0.8055 0.8055 0.9590
O28 O 0.8078 0.3388 0.9504
O29 O 0.8232 0.3603 0.7901
O30 O 0.8245 0.8245 0.7956
O31 O 0.8413 0.8413 0.5372
O32 O 0.8419 0.3053 0.5433
O33 O 0.8618 0.3310 0.3833
O34 O 0.8646 0.8646 0.3735
O35 O 0.9722 0.5092 0.8763
O36 O 0.9948 0.5253 0.7162
# - Space-group type: C2/m
# - Relative energy among the computed polymorphs: 0.0 meV per atom

---

# AgPd GGA-PBE relaxed
data_AgPd
_space_group_name_H-M_alt 'P 1'
_space_group_IT_number 1
_cell_length_a 4.9466
_cell_length_b 4.9466
_cell_length_c 4.9466
_cell_angle_alpha 33.74
_cell_angle_beta 33.74
_cell_angle_gamma 33.74
loop_
_space_group_symop_operation_xyz
'x,y,z'
loop_
_atom_site_label
_atom_site_type_symbol
_atom_site_fract_x
_atom_site_fract_y
_atom_site_fract_z
Ag1 Ag 0.0000 0.0000 0.0000
Pd1 Pd 0.5000 0.5000 0.5000
# - Space-group type: R-3m

---

# Y3BeCrS7 GGA-PBE relaxed
data_Y3BeCrS7
_space_group_name_H-M_alt 'P 1'
_space_group_IT_number 1
_cell_length_a 9.5886
_cell_length_b 9.5886
_cell_length_c 6.0061
_cell_angle_alpha 90.00
_cell_angle_beta 90.00
_cell_angle_gamma 120.00
loop_
_space_group_symop_operation_xyz
'x,y,z'
loop_
_atom_site_label
_atom_site_type_symbol
_atom_site_fract_x
_atom_site_fract_y
_atom_site_fract_z
Y1 Y 0.1480 0.7550 0.0000
Y2 Y 0.2450 0.3930 0.0000
Y3 Y 0.3930 0.1480 0.5000
Y4 Y 0.6070 0.8520 0.0000
Y5 Y 0.7550 0.6070 0.5000
Y6 Y 0.8520 0.2450 0.5000
Be1 Be 0.3333 0.6667 0.5831
Be2 Be 0.6667 0.3333 0.0831
Cr1 Cr 0.0000 0.0000 0.1958
Cr2 Cr 0.0000 0.0000 0.6958
S1 S 0.0884 0.8615 0.4388
S2 S 0.1029 0.5201 0.7195
S3 S 0.1385 0.2269 0.4388
S4 S 0.2269 0.0884 0.9388
S5 S 0.3333 0.6667 0.2333
S6 S 0.4172 0.8971 0.7195
S7 S 0.4799 0.5828 0.7195
S8 S 0.5201 0.4172 0.2195
S9 S 0.5828 0.1029 0.2195
S10 S 0.6667 0.3333 0.7333
S11 S 0.7731 0.9116 0.4388
S12 S 0.8615 0.7731 0.9388
S13 S 0.8971 0.4799 0.2195
S14 S 0.9116 0.1385 0.9388
# - Space-group type: P6_3

---

# YSiRu2C GGA-PBE relaxed
data_YSiRu2C
_space_group_name_H-M_alt 'P 1'
_space_group_IT_number 1
_cell_length_a 5.8786
_cell_length_b 5.8786
_cell_length_c 7.1648
_cell_angle_alpha 90.00
_cell_angle_beta 90.00
_cell_angle_gamma 142.14
loop_
_space_group_symop_operation_xyz
'x,y,z'
loop_
_atom_site_label
_atom_site_type_symbol
_atom_site_fract_x
_atom_site_fract_y
_atom_site_fract_z
Y1 Y 0.0462 0.9538 0.7500
Y2 Y 0.9538 0.0462 0.2500
Si1 Si 0.2321 0.7679 0.2500
Si2 Si 0.7679 0.2321 0.7500
Ru1 Ru 0.3360 0.6640 0.5570
Ru2 Ru 0.3360 0.6640 0.9430
Ru3 Ru 0.6640 0.3360 0.0570
Ru4 Ru 0.6640 0.3360 0.4430
C1 C 0.5000 0.5000 0.0000
C2 C 0.5000 0.5000 0.5000
# - Space-group type: Cmcm

---

# KNbB2O6 GGA-PBE relaxed
data_KNbB2O6
_space_group_name_H-M_alt 'P 1'
_space_group_IT_number 1
_cell_length_a 32.3364
_cell_length_b 7.4350
_cell_length_c 9.3620
_cell_angle_alpha 90.00
_cell_angle_beta 90.00
_cell_angle_gamma 90.00
loop_
_space_group_symop_operation_xyz
'x,y,z'
loop_
_atom_site_label
_atom_site_type_symbol
_atom_site_fract_x
_atom_site_fract_y
_atom_site_fract_z
K1 K 0.0602 0.2401 0.0000
K2 K 0.0635 0.7520 0.4879
K3 K 0.1860 0.2448 0.0004
K4 K 0.1885 0.7406 0.4908
K5 K 0.3115 0.2406 0.9908
K6 K 0.3140 0.7448 0.5004
K7 K 0.4365 0.2520 0.9879
K8 K 0.4398 0.7401 0.5000
K9 K 0.5602 0.2599 0.0000
K10 K 0.5635 0.7480 0.4879
K11 K 0.6860 0.2552 0.0004
K12 K 0.6885 0.7594 0.4908
K13 K 0.8115 0.2594 0.9908
K14 K 0.8140 0.7552 0.5004
K15 K 0.9365 0.2480 0.9879
K16 K 0.9398 0.7599 0.5000
Nb1 Nb 0.0239 0.2680 0.5962
Nb2 Nb 0.1010 0.7385 0.0993
Nb3 Nb 0.1501 0.2118 0.5955
Nb4 Nb 0.2249 0.7620 0.0979
Nb5 Nb 0.2751 0.2620 0.5979
Nb6 Nb 0.3499 0.7118 0.0955
Nb7 Nb 0.3990 0.2385 0.5993
Nb8 Nb 0.4761 0.7680 0.0962
Nb9 Nb 0.5239 0.2320 0.5962
Nb10 Nb 0.6010 0.7615 0.0993
Nb11 Nb 0.6501 0.2882 0.5955
Nb12 Nb 0.7249 0.7380 0.0979
Nb13 Nb 0.7751 0.2380 0.5979
Nb14 Nb 0.8499 0.7882 0.0955
Nb15 Nb 0.8990 0.2615 0.5993
Nb16 Nb 0.9761 0.7320 0.0962
B1 B 0.0029 0.9440 0.8216
B2 B 0.0047 0.6127 0.7961
B3 B 0.1177 0.0855 0.2988
B4 B 0.1226 0.8676 0.7976
B5 B 0.1281 0.4177 0.3176
B6 B 0.1311 0.5391 0.8210
B7 B 0.2413 0.4226 0.3103
B8 B 0.2454 0.5929 0.8075
B9 B 0.2546 0.0929 0.3075
B10 B 0.2587 0.9226 0.8103
B11 B 0.3689 0.0391 0.3210
B12 B 0.3719 0.9177 0.8176
B13 B 0.3774 0.3676 0.2976
B14 B 0.3823 0.5855 0.7988
B15 B 0.4953 0.1127 0.2961
B16 B 0.4971 0.4440 0.3216
B17 B 0.5029 0.5560 0.8216
B18 B 0.5047 0.8873 0.7961
B19 B 0.6177 0.4145 0.2988
B20 B 0.6226 0.6324 0.7976
B21 B 0.6281 0.0823 0.3176
B22 B 0.6311 0.9609 0.8210
B23 B 0.7413 0.0774 0.3103
B24 B 0.7454 0.9071 0.8075
B25 B 0.7546 0.4071 0.3075
B26 B 0.7587 0.5774 0.8103
B27 B 0.8689 0.4609 0.3210
B28 B 0.8719 0.5823 0.8176
B29 B 0.8774 0.1324 0.2976
B30 B 0.8823 0.9145 0.7988
B31 B 0.9953 0.3873 0.2961
B32 B 0.9971 0.0560 0.3216
O1 O 0.0069 0.7877 0.7383
O2 O 0.0087 0.0618 0.4616
O3 O 0.0121 0.1056 0.7607
O4 O 0.0165 0.4247 0.4182
O5 O 0.0256 0.4849 0.7204
O6 O 0.0465 0.6835 0.1043
O7 O 0.0793 0.2390 0.5895
O8 O 0.0964 0.9586 0.2222
O9 O 0.1008 0.8916 0.9203
O10 O 0.1180 0.2608 0.2401
O11 O 0.1185 0.5805 0.2604
O12 O 0.1193 0.5368 0.9610
O13 O 0.1304 0.6970 0.7386
O14 O 0.1365 0.0451 0.4251
O15 O 0.1383 0.0080 0.7228
O16 O 0.1456 0.3870 0.7557
O17 O 0.1464 0.4100 0.4485
O18 O 0.1703 0.8180 0.0993
O19 O 0.2059 0.1866 0.5932
O20 O 0.2222 0.5589 0.2366
O21 O 0.2230 0.5918 0.9306
O22 O 0.2428 0.2546 0.2400
O23 O 0.2430 0.9362 0.2454
O24 O 0.2437 0.9479 0.9449
O25 O 0.2563 0.4479 0.4449
O26 O 0.2570 0.4362 0.7454
O27 O 0.2572 0.7546 0.7400
O28 O 0.2770 0.0918 0.4306
O29 O 0.2778 0.0589 0.7366
O30 O 0.2941 0.6866 0.0932
O31 O 0.3297 0.3180 0.5993
O32 O 0.3544 0.8870 0.2557
O33 O 0.3535 0.9100 0.9485
O34 O 0.3617 0.5080 0.2228
O35 O 0.3635 0.5451 0.9251
O36 O 0.3696 0.1970 0.2386
O37 O 0.3807 0.0368 0.4610
O38 O 0.3815 0.0805 0.7604
O39 O 0.3820 0.7608 0.7401
O40 O 0.3992 0.3916 0.4203
O41 O 0.4036 0.4586 0.7222
O42 O 0.4207 0.7390 0.0895
O43 O 0.4535 0.1835 0.6043
O44 O 0.4744 0.9849 0.2204
O45 O 0.4835 0.9247 0.9182
O46 O 0.4879 0.6056 0.2607
O47 O 0.4913 0.5618 0.9616
O48 O 0.4931 0.2878 0.2383
O49 O 0.5069 0.7123 0.7383
O50 O 0.5087 0.4382 0.4616
O51 O 0.5121 0.3944 0.7607
O52 O 0.5165 0.0753 0.4182
O53 O 0.5256 0.0151 0.7204
O54 O 0.5465 0.8165 0.1043
O55 O 0.5793 0.2610 0.5895
O56 O 0.5964 0.5414 0.2222
O57 O 0.6008 0.6084 0.9203
O58 O 0.6180 0.2392 0.2401
O59 O 0.6185 0.9195 0.2604
O60 O 0.6193 0.9632 0.9610
O61 O 0.6304 0.8030 0.7386
O62 O 0.6365 0.4549 0.4251
O63 O 0.6383 0.4920 0.7228
O64 O 0.6464 0.0900 0.4485
O65 O 0.6456 0.1130 0.7557
O66 O 0.6703 0.6820 0.0993
O67 O 0.7059 0.3134 0.5932
O68 O 0.7222 0.9411 0.2366
O69 O 0.7230 0.9082 0.9306
O70 O 0.7428 0.2454 0.2400
O71 O 0.7430 0.5638 0.2454
O72 O 0.7437 0.5521 0.9449
O73 O 0.7563 0.0521 0.4449
O74 O 0.7570 0.0638 0.7454
O75 O 0.7572 0.7454 0.7400
O76 O 0.7770 0.4082 0.4306
O77 O 0.7778 0.4411 0.7366
O78 O 0.7941 0.8134 0.0932
O79 O 0.8297 0.1820 0.5993
O80 O 0.8536 0.5900 0.9485
O81 O 0.8544 0.6130 0.2557
O82 O 0.8617 0.9920 0.2228
O83 O 0.8635 0.9549 0.9251
O84 O 0.8696 0.3030 0.2386
O85 O 0.8807 0.4632 0.4610
O86 O 0.8815 0.4195 0.7604
O87 O 0.8820 0.7392 0.7401
O88 O 0.8992 0.1084 0.4203
O89 O 0.9036 0.0414 0.7222
O90 O 0.9207 0.7610 0.0895
O91 O 0.9535 0.3165 0.6043
O92 O 0.9744 0.5151 0.2204
O93 O 0.9835 0.5753 0.9182
O94 O 0.9879 0.8944 0.2607
O95 O 0.9913 0.9382 0.9616
O96 O 0.9931 0.2122 0.2383
# - Space-group type: Pna2_1
# - Relative energy among the computed polymorphs: 0.0 meV per atom

---

no.,E_form (eV/atom)
1,0.4032
2,-2.4659
3,-0.0589
4,-1.8655
5,-0.6154
6,-2.8871